Ba2PrSeO6: optimized geometry, PBE-GGA.

Geometry as CIF:
```
data_Ba2PrSeO6
_space_group_name_H-M_alt 'P n -3'
_space_group_IT_number 201
_cell_length_a 8.5999
_cell_length_b 8.5999
_cell_length_c 8.5999
_cell_angle_alpha 90.00
_cell_angle_beta 90.00
_cell_angle_gamma 90.00
loop_
_space_group_symop_operation_xyz
'x,y,z'
'-x,-y,-z'
'-x+1/2,-y+1/2,z'
'x+1/2,y+1/2,-z'
'x,-y+1/2,-z+1/2'
'-x,y+1/2,z+1/2'
'-x+1/2,y,-z+1/2'
'x+1/2,-y,z+1/2'
'z,x,y'
'-z,-x,-y'
'z,-x+1/2,-y+1/2'
'-z,x+1/2,y+1/2'
'-z+1/2,x,-y+1/2'
'z+1/2,-x,y+1/2'
'-z+1/2,-x+1/2,y'
'z+1/2,x+1/2,-y'
'y,z,x'
'-y,-z,-x'
'-y+1/2,z,-x+1/2'
'y+1/2,-z,x+1/2'
'-y+1/2,-z+1/2,x'
'y+1/2,z+1/2,-x'
'y,-z+1/2,-x+1/2'
'-y,z+1/2,x+1/2'
loop_
_atom_site_label
_atom_site_fract_x
_atom_site_fract_y
_atom_site_fract_z
_atom_site_occupancy
Ba1 0.2500 0.2500 0.2500 1
Ba2 0.2500 0.2500 0.7500 1
Pr1 0.0000 0.0000 0.0000 1
Se1 0.0000 0.0000 0.5000 1
O1 0.0104 0.2290 0.5100 1
```

uncorrected energy	-6.359	eV per atom
mass density	6.17	Mg/m³

=====

BaSrPrZrO6: optimized geometry, PBE-GGA.

Geometry as CIF:
```
data_BaSrPrZrO6
_space_group_name_H-M_alt 'P 2 2 2'
_space_group_IT_number 16
_space_group_name_Hall 'P 2 2'
_cell_length_a 8.7423
_cell_length_b 8.7698
_cell_length_c 8.7890
_cell_angle_alpha 90.00
_cell_angle_beta 90.00
_cell_angle_gamma 90.00
loop_
_atom_site_label
_atom_site_fract_x
_atom_site_fract_y
_atom_site_fract_z
_atom_site_occupancy
Ba1 0.0000 0.0000 0.0000 1
Ba2 0.0000 0.0000 0.5000 1
Ba3 0.5000 0.0000 0.0000 1
Ba4 0.5000 0.5000 0.5000 1
Sr1 0.0000 0.5000 0.0000 1
Sr2 0.0000 0.5000 0.5000 1
Sr3 0.5000 0.0000 0.5000 1
Sr4 0.5000 0.5000 0.0000 1
Pr1 0.2504 0.2538 0.2522 1
Zr1 0.2497 0.2556 0.7468 1
O1 0.0134 0.2894 0.7953 1
O2 0.2072 0.2983 0.5145 1
O3 0.2163 0.0145 0.7213 1
O4 0.2813 0.2150 0.9857 1
O5 0.3002 0.4864 0.7921 1
O6 0.4857 0.2105 0.7025 1
```

energy above the most stable polymorph in this dataset	0.0	meV/atom
uncorrected energy	-7.537	eV per atom
mass density	5.45	Mg/m³

=====

BaSrPrZrO6: optimized geometry, PBE-GGA.

Geometry as CIF:
```
data_BaSrPrZrO6
_space_group_name_H-M_alt 'F -4 3 m'
_space_group_IT_number 216
_space_group_name_Hall 'F -4 2 3'
_cell_length_a 8.8288
_cell_length_b 8.8288
_cell_length_c 8.8288
_cell_angle_alpha 90.00
_cell_angle_beta 90.00
_cell_angle_gamma 90.00
loop_
_atom_site_label
_atom_site_fract_x
_atom_site_fract_y
_atom_site_fract_z
_atom_site_occupancy
Ba1 0.0000 0.0000 0.0000 1
Sr1 0.0000 0.0000 0.5000 1
Pr1 0.2500 0.2500 0.7500 1
Zr1 0.2500 0.2500 0.2500 1
O1 0.0124 0.2500 0.2500 1
```

energy above the most stable polymorph in this dataset	74.5	meV/atom
uncorrected energy	-7.462	eV per atom
mass density	5.34	Mg/m³

=====

BaPr2Ti3O10: optimized geometry, PBE-GGA.

Geometry as CIF:
```
data_BaPr2Ti3O10
_space_group_name_H-M_alt 'C m c m'
_space_group_IT_number 63
_space_group_name_Hall '-C 2c 2'
_cell_length_a 3.9343
_cell_length_b 28.6620
_cell_length_c 7.7046
_cell_angle_alpha 90.00
_cell_angle_beta 90.00
_cell_angle_gamma 90.00
loop_
_atom_site_label
_atom_site_fract_x
_atom_site_fract_y
_atom_site_fract_z
_atom_site_occupancy
Ba1 0.0000 0.2407 0.2500 1
Pr1 0.0000 0.0726 0.2500 1
Pr2 0.0000 0.0796 0.7500 1
Ti1 0.0000 0.3542 0.5042 1
Ti2 0.0000 0.5000 0.0000 1
O1 0.0000 0.0000 0.0000 1
O2 0.0000 0.1310 0.0071 1
O3 0.0000 0.2932 0.5426 1
O4 0.0000 0.3553 0.2500 1
O5 0.0000 0.3768 0.7500 1
O6 0.0000 0.4337 0.0496 1
O7 0.0000 0.4840 0.7500 1
```

uncorrected energy	-8.504	eV per atom
mass density	5.53	Mg/m³

=====

BaPtO3: optimized geometry, PBE-GGA.

Geometry as CIF:
```
data_BaPtO3
_space_group_name_H-M_alt 'P 63/m m c'
_space_group_IT_number 194
_space_group_name_Hall '-P 6c 2c'
_cell_length_a 5.8658
_cell_length_b 5.8658
_cell_length_c 34.9964
_cell_angle_alpha 90.00
_cell_angle_beta 90.00
_cell_angle_gamma 120.00
loop_
_atom_site_label
_atom_site_fract_x
_atom_site_fract_y
_atom_site_fract_z
_atom_site_occupancy
Ba1 0.0000 0.0000 0.1061 1
Ba2 0.3333 0.6667 0.0417 1
Ba3 0.3333 0.6667 0.1819 1
Ba4 0.3333 0.6667 0.7500 1
Pt1 0.0000 0.0000 0.0000 1
Pt2 0.0000 0.0000 0.2099 1
Pt3 0.3333 0.6667 0.5638 1
Pt4 0.3333 0.6667 0.6436 1
O1 0.0337 0.5169 0.6044 1
O2 0.1479 0.2959 0.2500 1
O3 0.1510 0.3020 0.5395 1
O4 0.1794 0.3587 0.6829 1
```

uncorrected energy	-5.962	eV per atom
mass density	8.48	Mg/m³

=====

BaPt3O4: optimized geometry, PBE-GGA.

Geometry as CIF:
```
data_BaPt3O4
_space_group_name_H-M_alt 'P m -3 n'
_space_group_IT_number 223
_space_group_name_Hall '-P 4n 2 3'
_cell_length_a 6.0595
_cell_length_b 6.0595
_cell_length_c 6.0595
_cell_angle_alpha 90.00
_cell_angle_beta 90.00
_cell_angle_gamma 90.00
loop_
_atom_site_label
_atom_site_fract_x
_atom_site_fract_y
_atom_site_fract_z
_atom_site_occupancy
Ba1 0.0000 0.0000 0.0000 1
Pt1 0.0000 0.2500 0.5000 1
O1 0.2500 0.2500 0.2500 1
```

uncorrected energy	-5.873	eV per atom
mass density	11.74	Mg/m³

=====

Computed E_form (meV per atom) in order:
-2591, -3287, -3212, -3643, -1807, -1226